one.
A relaxed structure of Rb11Al14Si10Ag3O48. Source: the Materials Project, functional GGA-PBE.

The structure in POSCAR format:
```
Rb11Al14Si10Ag3O48
1.0
12.447 0.000 0.000
0.027 12.470 0.000
0.065 0.023 12.716
Al O Ag Rb Si
14 48 3 11 10
Direct
0.190 0.998 0.625
0.000 0.191 0.379
0.999 0.373 0.177
0.375 0.998 0.176
0.996 0.807 0.382
0.809 0.001 0.632
0.187 0.998 0.375
0.811 0.376 0.996
0.371 0.000 0.822
0.999 0.625 0.177
0.811 0.003 0.378
0.997 0.804 0.629
0.003 0.199 0.632
0.626 0.998 0.177
0.011 0.286 0.281
0.115 0.115 0.354
0.881 0.884 0.359
0.694 0.294 0.992
0.350 0.124 0.106
0.645 0.109 0.896
0.877 0.651 0.102
0.010 0.700 0.723
0.299 0.301 0.995
0.349 0.878 0.101
0.114 0.880 0.364
0.504 0.001 0.779
0.006 0.500 0.229
0.999 0.740 0.504
0.350 0.877 0.892
0.301 0.697 0.994
0.892 0.114 0.652
0.500 0.993 0.232
0.644 0.120 0.103
0.896 0.651 0.896
0.296 0.985 0.710
0.116 0.651 0.893
0.708 0.711 0.986
0.010 0.309 0.715
0.230 0.500 0.997
0.758 0.508 0.989
0.880 0.123 0.354
0.495 0.235 0.992
0.657 0.878 0.103
0.706 0.003 0.725
0.886 0.886 0.651
0.112 0.112 0.650
0.112 0.883 0.643
0.274 0.998 0.268
0.993 0.721 0.274
0.119 0.341 0.100
0.724 0.002 0.271
0.900 0.348 0.893
0.250 0.997 0.498
0.646 0.894 0.895
0.998 0.253 0.503
0.118 0.352 0.890
0.118 0.656 0.101
0.503 0.765 0.997
0.877 0.345 0.113
0.007 0.502 0.791
0.340 0.114 0.898
0.750 0.006 0.505
0.505 0.662 0.496
0.505 0.338 0.501
0.640 0.500 0.505
0.257 0.266 0.289
0.863 0.134 0.102
0.004 0.493 0.488
0.249 0.752 0.259
0.257 0.753 0.738
0.907 0.865 0.123
0.135 0.092 0.114
0.520 0.487 0.980
0.730 0.268 0.292
0.503 0.002 0.510
0.732 0.742 0.292
0.004 0.627 0.826
0.188 0.626 0.999
0.627 0.815 0.996
0.187 0.373 0.996
0.811 0.627 0.994
0.370 0.188 0.995
0.625 0.002 0.822
0.620 0.188 0.995
0.376 0.810 0.997
0.005 0.374 0.823
```

Calculated values
- Density: 2.26 g/cm3
- Space-group type: P1, No. 1
- Calculated volume: 23.0 A^3/atom

two.
A relaxed structure of Rb11Al14Si10Ag3O48. Source: the Materials Project, functional GGA-PBE.

The structure in POSCAR format:
```
Rb11Al14Si10Ag3O48
1.0
13.033 -0.068 -0.018
-0.068 12.176 -0.027
-0.016 -0.027 12.299
O Rb Al Ag Si
48 11 14 3 10
Direct
0.289 0.301 0.015
0.624 0.104 0.112
0.109 0.127 0.351
0.112 0.351 0.131
0.018 0.493 0.787
0.494 0.736 0.991
0.354 0.882 0.113
0.716 0.002 0.285
0.902 0.667 0.113
0.905 0.343 0.114
0.353 0.890 0.883
0.622 0.893 0.892
0.014 0.711 0.287
0.362 0.114 0.887
0.270 0.011 0.296
0.105 0.900 0.663
0.627 0.134 0.872
0.897 0.649 0.875
0.886 0.343 0.872
0.011 0.686 0.697
0.202 0.501 0.978
0.729 0.271 0.012
0.888 0.876 0.660
0.728 0.729 0.994
0.107 0.120 0.647
0.090 0.908 0.337
0.108 0.648 0.106
0.628 0.865 0.133
0.720 0.006 0.724
0.993 0.228 0.502
0.276 0.702 0.992
0.903 0.111 0.339
0.490 0.999 0.267
0.087 0.316 0.898
0.888 0.873 0.341
0.998 0.305 0.305
0.496 0.997 0.732
0.277 0.011 0.699
0.773 0.008 0.504
0.997 0.506 0.229
0.003 0.303 0.699
0.900 0.117 0.667
0.774 0.501 0.009
0.099 0.670 0.891
0.203 0.000 0.497
0.360 0.112 0.118
0.010 0.770 0.490
0.499 0.264 0.015
0.041 0.530 0.526
0.735 0.752 0.754
0.850 0.902 0.112
0.719 0.706 0.257
0.268 0.259 0.254
0.146 0.903 0.890
0.720 0.268 0.723
0.745 0.243 0.243
0.854 0.108 0.899
0.548 0.996 0.501
0.425 0.498 0.996
0.824 0.632 0.996
0.609 0.991 0.199
0.611 0.008 0.806
0.614 0.805 0.004
0.370 0.995 0.199
0.820 0.997 0.373
0.002 0.813 0.627
0.823 0.371 0.001
0.616 0.194 0.001
0.171 0.363 0.001
0.376 0.004 0.797
0.374 0.804 0.996
0.377 0.196 0.003
0.822 0.997 0.634
0.477 0.517 0.690
0.514 0.481 0.303
0.480 0.588 0.487
0.005 0.632 0.179
0.000 0.363 0.820
0.999 0.818 0.367
0.174 0.628 0.993
0.174 0.006 0.627
0.170 0.008 0.370
0.004 0.625 0.814
0.003 0.375 0.189
0.998 0.188 0.373
0.001 0.187 0.629
```

Calculated values
- Density: 2.29 g/cm3
- Space-group type: P1, No. 1
- Calculated volume: 22.7 A^3/atom

Which of them is the least stable? Correct choice: one.